The following is a PBE-GGA calculation of a geometry-optimized BaP2H2O2 structure, from the Materials Project.

- ΔE_f: -1.31 eV per atom
- Total energy: -5.322 eV/atom
- V: 18.41 Å³/atom

CIF file:
```
data_BaP2H2O2
_space_group_name_H-M_alt 'C c c e'
_space_group_IT_number 68
_cell_length_a 7.082
_cell_length_b 19.371
_cell_length_c 7.514
_cell_angle_alpha 90.00
_cell_angle_beta 90.00
_cell_angle_gamma 90.00
loop_
_space_group_symop_operation_xyz
'x,y,z'
'-x,-y,-z'
'-x+1/2,-y,z'
'x+1/2,y,-z'
'x+1/2,-y,-z+1/2'
'-x+1/2,y,z+1/2'
'-x,y,-z+1/2'
'x,-y,z+1/2'
'x+1/2,y+1/2,z'
'-x+1/2,-y+1/2,-z'
'-x,-y+1/2,z'
'x,y+1/2,-z'
'x,-y+1/2,-z+1/2'
'-x,y+1/2,z+1/2'
'-x+1/2,y+1/2,-z+1/2'
'x+1/2,-y+1/2,z+1/2'
loop_
_atom_site_label
_atom_site_type_symbol
_atom_site_fract_x
_atom_site_fract_y
_atom_site_fract_z
_atom_site_occupancy
Ba1 Ba 0.000 0.000 0.000 1
P1 P 0.162 0.150 0.247 1
H1 H 0.169 0.156 0.056 1
O1 O 0.229 0.068 0.267 1
```



The following is a PBE-GGA calculation of a geometry-optimized BaSiP4H2O14 structure, from the Materials Project.

- ΔE_f: -2.68 eV per atom
- Total energy: -7.014 eV/atom
- V: 12.21 Å³/atom

CIF file:
```
data_BaSiP4H2O14
_space_group_name_H-M_alt 'P -1'
_space_group_IT_number 2
_cell_length_a 4.672
_cell_length_b 6.696
_cell_length_c 9.180
_cell_angle_alpha 75.22
_cell_angle_beta 85.57
_cell_angle_gamma 75.35
loop_
_space_group_symop_operation_xyz
'x,y,z'
'-x,-y,-z'
loop_
_atom_site_label
_atom_site_type_symbol
_atom_site_fract_x
_atom_site_fract_y
_atom_site_fract_z
_atom_site_occupancy
Ba1 Ba 0.000 0.000 0.000 1
Si1 Si 0.000 0.000 0.500 1
P1 P 0.096 0.562 0.738 1
P2 P 0.414 0.167 0.666 1
H1 H 0.454 0.458 0.170 1
O1 O 0.069 0.228 0.364 1
O2 O 0.118 0.555 0.167 1
O3 O 0.152 0.075 0.647 1
O4 O 0.287 0.424 0.629 1
O5 O 0.320 0.607 0.837 1
O6 O 0.353 0.852 0.459 1
O7 O 0.490 0.912 0.172 1
```



The following is a PBE-GGA calculation of a geometry-optimized Ba2H2PdS10O34 structure, from the Materials Project.

- ΔE_f: -1.87 eV per atom
- Polymorph energy (0 for the lowest one): 0.0 meV/atom
- Total energy: -5.989 eV/atom
- V: 14.71 Å³/atom

CIF file:
```
data_Ba2H2PdS10O34
_space_group_name_H-M_alt 'P -1'
_space_group_IT_number 2
_cell_length_a 9.145
_cell_length_b 9.498
_cell_length_c 9.633
_cell_angle_alpha 119.29
_cell_angle_beta 96.68
_cell_angle_gamma 92.00
loop_
_space_group_symop_operation_xyz
'x,y,z'
'-x,-y,-z'
loop_
_atom_site_label
_atom_site_type_symbol
_atom_site_fract_x
_atom_site_fract_y
_atom_site_fract_z
_atom_site_occupancy
Ba1 Ba 0.237 0.210 0.413 1
H1 H 0.076 0.407 0.067 1
Pd1 Pd 0.500 0.500 0.000 1
S1 S 0.113 0.575 0.324 1
S2 S 0.143 0.119 0.771 1
S3 S 0.201 0.907 0.905 1
S4 S 0.366 0.757 0.293 1
S5 S 0.427 0.671 0.792 1
O1 O 0.005 0.016 0.688 1
O2 O 0.009 0.641 0.433 1
O3 O 0.030 0.502 0.151 1
O4 O 0.083 0.782 0.804 1
O5 O 0.137 0.256 0.929 1
O6 O 0.183 0.024 0.066 1
O7 O 0.205 0.740 0.354 1
O8 O 0.213 0.467 0.337 1
O9 O 0.232 0.150 0.673 1
O10 O 0.258 0.995 0.814 1
O11 O 0.309 0.543 0.698 1
O12 O 0.337 0.628 0.118 1
O13 O 0.349 0.833 0.931 1
O14 O 0.366 0.919 0.317 1
O15 O 0.468 0.350 0.090 1
O16 O 0.479 0.726 0.388 1
O17 O 0.493 0.265 0.289 1
```



The following is a PBE-GGA calculation of a geometry-optimized Ba2H8PtO8 structure, from the Materials Project.

- ΔE_f: -1.68 eV per atom
- Total energy: -5.422 eV/atom
- V: 10.70 Å³/atom

CIF file:
```
data_Ba2H8PtO8
_space_group_name_H-M_alt 'P b c a'
_space_group_IT_number 61
_cell_length_a 8.707
_cell_length_b 8.924
_cell_length_c 10.469
_cell_angle_alpha 90.00
_cell_angle_beta 90.00
_cell_angle_gamma 90.00
loop_
_space_group_symop_operation_xyz
'x,y,z'
'-x,-y,-z'
'-x+1/2,-y,z+1/2'
'x+1/2,y,-z+1/2'
'x+1/2,-y+1/2,-z'
'-x+1/2,y+1/2,z'
'-x,y+1/2,-z+1/2'
'x,-y+1/2,z+1/2'
loop_
_atom_site_label
_atom_site_type_symbol
_atom_site_fract_x
_atom_site_fract_y
_atom_site_fract_z
_atom_site_occupancy
Ba1 Ba 0.220 0.217 0.226 1
H1 H 0.014 0.516 0.762 1
H2 H 0.024 0.719 0.495 1
H3 H 0.027 0.014 0.910 1
H4 H 0.215 0.544 0.492 1
Pt1 Pt 0.000 0.000 0.500 1
O1 O 0.001 0.715 0.070 1
O2 O 0.059 0.580 0.372 1
O3 O 0.076 0.572 0.826 1
O4 O 0.218 0.028 0.568 1
```



The following is a PBE-GGA calculation of a geometry-optimized Rb2Ba6Sb5HO structure, from the Materials Project.

- ΔE_f: -1.10 eV per atom
- Total energy: -3.882 eV/atom
- V: 37.88 Å³/atom

CIF file:
```
data_Rb2Ba6Sb5HO
_space_group_name_H-M_alt 'I 4/m c m'
_space_group_IT_number 140
_space_group_name_Hall '-I 4 2c'
_cell_length_a 8.913
_cell_length_b 8.913
_cell_length_c 28.612
_cell_angle_alpha 90.00
_cell_angle_beta 90.00
_cell_angle_gamma 90.00
loop_
_atom_site_label
_atom_site_type_symbol
_atom_site_fract_x
_atom_site_fract_y
_atom_site_fract_z
_atom_site_occupancy
Rb1 Rb 0.168 0.332 0.000 1
Ba1 Ba 0.000 0.000 0.093 1
Ba2 Ba 0.157 0.343 0.194 1
Sb1 Sb 0.000 0.000 0.250 1
Sb2 Sb 0.117 0.383 0.397 1
H1 H 0.000 0.000 0.000 1
O1 O 0.000 0.500 0.250 1
```



The following is a PBE-GGA calculation of a geometry-optimized BaRe2H8O12 structure, from the Materials Project.

- ΔE_f: -1.86 eV per atom
- Total energy: -6.432 eV/atom
- V: 12.88 Å³/atom

CIF file:
```
data_BaRe2H8O12
_space_group_name_H-M_alt 'P 1 21/c 1'
_space_group_IT_number 14
_cell_length_a 7.499
_cell_length_b 12.652
_cell_length_c 14.397
_cell_angle_alpha 90.00
_cell_angle_beta 119.85
_cell_angle_gamma 90.00
loop_
_space_group_symop_operation_xyz
'x,y,z'
'-x,-y,-z'
'-x,y+1/2,-z+1/2'
'x,-y+1/2,z+1/2'
loop_
_atom_site_label
_atom_site_type_symbol
_atom_site_fract_x
_atom_site_fract_y
_atom_site_fract_z
_atom_site_occupancy
Ba1 Ba 0.178 0.250 0.430 1
Re1 Re 0.164 0.614 0.408 1
Re2 Re 0.286 0.573 0.038 1
H1 H 0.104 0.146 0.698 1
H2 H 0.193 0.613 0.785 1
H3 H 0.308 0.698 0.758 1
H4 H 0.311 0.094 0.782 1
H5 H 0.363 0.224 0.699 1
H6 H 0.363 0.543 0.694 1
H7 H 0.390 0.008 0.104 1
H8 H 0.440 0.165 0.186 1
O1 O 0.003 0.153 0.046 1
O2 O 0.049 0.638 0.270 1
O3 O 0.151 0.602 0.900 1
O4 O 0.191 0.650 0.103 1
O5 O 0.204 0.641 0.724 1
O6 O 0.225 0.021 0.938 1
O7 O 0.237 0.162 0.763 1
O8 O 0.249 0.062 0.555 1
O9 O 0.391 0.687 0.477 1
O10 O 0.433 0.240 0.165 1
O11 O 0.450 0.098 0.410 1
O12 O 0.457 0.003 0.182 1
```



The following is a PBE-GGA calculation of a geometry-optimized BaH2S5O6 structure, from the Materials Project.

- ΔE_f: -1.09 eV per atom
- Polymorph energy (0 for the lowest one): 6.6 meV/atom
- Total energy: -5.019 eV/atom
- V: 22.15 Å³/atom

CIF file:
```
data_BaH2S5O6
_space_group_name_H-M_alt 'P n m a'
_space_group_IT_number 62
_cell_length_a 5.408
_cell_length_b 10.262
_cell_length_c 22.350
_cell_angle_alpha 90.00
_cell_angle_beta 90.00
_cell_angle_gamma 90.00
loop_
_space_group_symop_operation_xyz
'x,y,z'
'-x,-y,-z'
'-x+1/2,-y,z+1/2'
'x+1/2,y,-z+1/2'
'x+1/2,-y+1/2,-z+1/2'
'-x+1/2,y+1/2,z+1/2'
'-x,y+1/2,-z'
'x,-y+1/2,z'
loop_
_atom_site_label
_atom_site_type_symbol
_atom_site_fract_x
_atom_site_fract_y
_atom_site_fract_z
_atom_site_occupancy
Ba1 Ba 0.207 0.250 0.049 1
H1 H 0.141 0.750 0.678 1
H2 H 0.204 0.250 0.510 1
S1 S 0.012 0.250 0.681 1
S2 S 0.193 0.511 0.409 1
S3 S 0.206 0.587 0.319 1
O1 O 0.069 0.512 0.577 1
O2 O 0.169 0.611 0.899 1
O3 O 0.184 0.104 0.949 1
```



The following is a PBE-GGA calculation of a geometry-optimized BaH2S5O6 structure, from the Materials Project.

- ΔE_f: -1.10 eV per atom
- Polymorph energy (0 for the lowest one): 0.0 meV/atom
- Total energy: -5.026 eV/atom
- V: 23.00 Å³/atom

CIF file:
```
data_BaH2S5O6
_space_group_name_H-M_alt 'P -1'
_space_group_IT_number 2
_cell_length_a 5.567
_cell_length_b 10.268
_cell_length_c 11.875
_cell_angle_alpha 107.69
_cell_angle_beta 95.04
_cell_angle_gamma 90.10
loop_
_space_group_symop_operation_xyz
'x,y,z'
'-x,-y,-z'
loop_
_atom_site_label
_atom_site_type_symbol
_atom_site_fract_x
_atom_site_fract_y
_atom_site_fract_z
_atom_site_occupancy
Ba1 Ba 0.246 0.287 0.101 1
H1 H 0.280 0.760 0.035 1
H2 H 0.406 0.372 0.378 1
S1 S 0.195 0.285 0.642 1
S2 S 0.198 0.962 0.643 1
S3 S 0.246 0.425 0.819 1
S4 S 0.246 0.947 0.820 1
S5 S 0.409 0.123 0.639 1
O1 O 0.090 0.826 0.803 1
O2 O 0.097 0.537 0.802 1
O3 O 0.156 0.359 0.901 1
O4 O 0.160 0.072 0.902 1
O5 O 0.495 0.537 0.156 1
O6 O 0.497 0.076 0.154 1
```